1.
Li3Ni4O8: relaxed, r2SCAN.

```
data_Li3Ni4O8
_chemical_formula_sum 'Li3 Ni4 O8'
_cell_length_a 5.535
_cell_length_b 5.753
_cell_length_c 5.724
_cell_angle_alpha 119.81
_cell_angle_beta 89.99
_cell_angle_gamma 118.75
_symmetry_space_group_name_H-M 'P 1'
_symmetry_Int_Tables_number 1
_symmetry_space_group_name_Hall 'P 1'
loop_
_atom_site_label
_atom_site_fract_x
_atom_site_fract_y
_atom_site_fract_z
_atom_site_occupancy
O1 0.247 0.500 0.779 1
Ni1 0.000 0.500 0.000 1
O2 0.752 0.500 0.779 1
Li1 0.000 0.000 0.500 1
O3 0.776 0.052 0.794 1
O4 0.224 0.948 0.206 1
Ni2 0.000 0.000 0.000 1
O5 0.752 0.005 0.221 1
Li2 0.000 0.500 0.500 1
Ni3 0.500 0.000 0.000 1
O6 0.753 0.500 0.221 1
O7 0.248 0.500 0.221 1
O8 0.248 0.995 0.779 1
Li3 0.500 0.000 0.500 1
Ni4 0.500 0.500 0.000 1
```

Summary:
Energy of formation from the pure elements ... -22.01 eV per formula unit
Magnetization ... 0.99 Bohr magnetons per cell
VASP energy ... -124.873 eV per cell
Space-group type ... C2/m, No. 12


2.
LiNiO2: relaxed, r2SCAN.

```
data_LiNiO2
_chemical_formula_sum 'Li5 Ni5 O10'
_cell_length_a 4.913
_cell_length_b 5.682
_cell_length_c 6.545
_cell_angle_alpha 102.25
_cell_angle_beta 99.18
_cell_angle_gamma 107.01
_symmetry_space_group_name_H-M 'P 1'
_symmetry_Int_Tables_number 1
_symmetry_space_group_name_Hall 'P 1'
loop_
_atom_site_label
_atom_site_fract_x
_atom_site_fract_y
_atom_site_fract_z
_atom_site_occupancy
O1 0.293 0.371 0.095 1
Ni1 0.602 0.702 0.199 1
Ni2 0.398 0.298 0.801 1
O2 0.707 0.629 0.905 1
O3 0.290 0.826 0.093 1
O4 0.910 0.033 0.307 1
Ni3 0.000 0.500 0.000 1
Li1 0.000 0.000 0.000 1
Li2 0.603 0.199 0.199 1
O5 0.498 0.771 0.497 1
Ni4 0.798 0.100 0.602 1
O6 0.710 0.174 0.907 1
O7 0.090 0.967 0.693 1
O8 0.083 0.436 0.722 1
Ni5 0.202 0.900 0.398 1
Li3 0.795 0.605 0.612 1
Li4 0.397 0.801 0.801 1
O9 0.502 0.229 0.503 1
O10 0.917 0.564 0.278 1
Li5 0.205 0.395 0.388 1
```

Summary:
Energy of formation from the pure elements ... -6.29 eV per formula unit
Magnetization ... 5.00 Bohr magnetons per cell
VASP energy ... -163.032 eV per cell
Space-group type ... P-1, No. 2


3.
Li7Ni5O12: relaxed, r2SCAN.

```
data_Li7Ni5O12
_chemical_formula_sum 'Li7 Ni5 O12'
_cell_length_a 4.910
_cell_length_b 4.910
_cell_length_c 9.475
_cell_angle_alpha 85.06
_cell_angle_beta 85.06
_cell_angle_gamma 120.36
_symmetry_space_group_name_H-M 'P 1'
_symmetry_Int_Tables_number 1
_symmetry_space_group_name_Hall 'P 1'
loop_
_atom_site_label
_atom_site_fract_x
_atom_site_fract_y
_atom_site_fract_z
_atom_site_occupancy
Ni1 0.414 0.586 0.500 1
O1 0.213 0.070 0.111 1
O2 0.066 0.229 0.616 1
Ni2 0.917 0.083 0.000 1
O3 0.289 0.429 0.890 1
O4 0.930 0.787 0.889 1
O5 0.646 0.145 0.889 1
O6 0.430 0.286 0.391 1
Ni3 0.080 0.920 0.500 1
O7 0.771 0.934 0.384 1
Li1 0.659 0.830 0.753 1
Li2 0.251 0.749 0.000 1
O8 0.571 0.711 0.110 1
Li3 0.170 0.341 0.247 1
O9 0.371 0.859 0.616 1
Ni4 0.584 0.416 0.000 1
Li4 0.497 0.991 0.246 1
Ni5 0.750 0.250 0.500 1
Li5 0.329 0.160 0.753 1
Li6 0.840 0.671 0.247 1
Li7 0.009 0.503 0.754 1
O10 0.714 0.570 0.609 1
O11 0.141 0.629 0.384 1
O12 0.855 0.354 0.111 1
```

Summary:
Energy of formation from the pure elements ... -39.40 eV per formula unit
Magnetization ... 3.02 Bohr magnetons per cell
VASP energy ... -187.687 eV per cell
Space-group type ... C2, No. 5


4.
Li2NiO3: relaxed, r2SCAN.

```
data_Li2NiO3
_chemical_formula_sum 'Li8 Ni4 O12'
_cell_length_a 4.834
_cell_length_b 4.834
_cell_length_c 9.444
_cell_angle_alpha 85.05
_cell_angle_beta 85.05
_cell_angle_gamma 120.03
_symmetry_space_group_name_H-M 'P 1'
_symmetry_Int_Tables_number 1
_symmetry_space_group_name_Hall 'P 1'
loop_
_atom_site_label
_atom_site_fract_x
_atom_site_fract_y
_atom_site_fract_z
_atom_site_occupancy
O1 0.690 0.522 0.861 1
O2 0.310 0.478 0.139 1
Ni1 0.750 0.250 0.750 1
Li1 0.838 0.676 0.500 1
Ni2 0.417 0.583 0.750 1
Li2 0.000 0.500 0.000 1
O3 0.046 0.234 0.863 1
Li3 0.162 0.324 0.500 1
O4 0.766 0.954 0.637 1
Ni3 0.583 0.417 0.250 1
O5 0.478 0.310 0.639 1
O6 0.403 0.879 0.862 1
O7 0.121 0.597 0.638 1
Li4 0.676 0.838 0.000 1
O8 0.597 0.121 0.138 1
Li5 0.084 0.916 0.750 1
O9 0.522 0.690 0.361 1
Li6 0.324 0.162 0.000 1
Ni4 0.250 0.750 0.250 1
O10 0.954 0.766 0.137 1
O11 0.234 0.046 0.363 1
O12 0.879 0.403 0.362 1
Li7 0.500 0.000 0.500 1
Li8 0.916 0.084 0.250 1
```

Summary:
Energy of formation from the pure elements ... -10.25 eV per formula unit
Magnetization ... 0.00 Bohr magnetons per cell
VASP energy ... -179.677 eV per cell
Space-group type ... C2/c, No. 15


5.
LiNiO2: relaxed, r2SCAN.

```
data_LiNiO2
_chemical_formula_sum 'Li2 Ni2 O4'
_cell_length_a 2.768
_cell_length_b 2.907
_cell_length_c 9.453
_cell_angle_alpha 83.28
_cell_angle_beta 89.99
_cell_angle_gamma 61.59
_symmetry_space_group_name_H-M 'P 1'
_symmetry_Int_Tables_number 1
_symmetry_space_group_name_Hall 'P 1'
loop_
_atom_site_label
_atom_site_fract_x
_atom_site_fract_y
_atom_site_fract_z
_atom_site_occupancy
O1 0.885 0.230 0.613 1
O2 0.614 0.771 0.887 1
Li1 0.251 0.500 0.750 1
Li2 0.749 0.500 0.250 1
Ni1 0.500 0.000 0.500 1
Ni2 0.000 0.000 0.000 1
O3 0.386 0.229 0.113 1
O4 0.115 0.770 0.387 1
```

Summary:
Energy of formation from the pure elements ... -6.32 eV per formula unit
Magnetization ... 2.00 Bohr magnetons per cell
VASP energy ... -65.275 eV per cell


6.
Li5Ni7O12: relaxed, r2SCAN.

```
data_Li5Ni7O12
_chemical_formula_sum 'Li5 Ni7 O12'
_cell_length_a 4.967
_cell_length_b 4.967
_cell_length_c 9.486
_cell_angle_alpha 85.11
_cell_angle_beta 85.11
_cell_angle_gamma 119.88
_symmetry_space_group_name_H-M 'P 1'
_symmetry_Int_Tables_number 1
_symmetry_space_group_name_Hall 'P 1'
loop_
_atom_site_label
_atom_site_fract_x
_atom_site_fract_y
_atom_site_fract_z
_atom_site_occupancy
Ni1 0.916 0.084 0.000 1
Li1 0.666 0.840 0.747 1
O1 0.210 0.023 0.119 1
Li2 0.841 0.661 0.254 1
O2 0.035 0.234 0.616 1
O3 0.380 0.857 0.620 1
Li3 0.085 0.915 0.500 1
Ni2 0.582 0.418 0.000 1
O4 0.859 0.359 0.124 1
Ni3 0.001 0.508 0.746 1
O5 0.524 0.718 0.116 1
O6 0.143 0.620 0.380 1
Li4 0.160 0.334 0.253 1
O7 0.282 0.476 0.884 1
O8 0.703 0.519 0.616 1
Li5 0.339 0.159 0.746 1
O9 0.766 0.965 0.384 1
Ni4 0.249 0.751 0.000 1
Ni5 0.750 0.250 0.500 1
O10 0.977 0.790 0.881 1
O11 0.481 0.297 0.384 1
Ni6 0.492 0.999 0.254 1
Ni7 0.419 0.581 0.500 1
O12 0.641 0.141 0.876 1
```

Summary:
Energy of formation from the pure elements ... -35.96 eV per formula unit
Magnetization ... 9.00 Bohr magnetons per cell
VASP energy ... -203.440 eV per cell
Space-group type ... C2, No. 5


7.
Li3Ni4O8: relaxed, r2SCAN.

```
data_Li3Ni4O8
_chemical_formula_sum 'Li3 Ni4 O8'
_cell_length_a 5.578
_cell_length_b 5.614
_cell_length_c 5.733
_cell_angle_alpha 119.33
_cell_angle_beta 61.32
_cell_angle_gamma 90.00
_symmetry_space_group_name_H-M 'P 1'
_symmetry_Int_Tables_number 1
_symmetry_space_group_name_Hall 'P 1'
loop_
_atom_site_label
_atom_site_fract_x
_atom_site_fract_y
_atom_site_fract_z
_atom_site_occupancy
O1 0.246 0.279 0.504 1
O2 0.754 0.721 0.496 1
Ni1 0.000 0.500 0.000 1
O3 0.780 0.248 0.996 1
Li1 0.500 0.500 0.000 1
Ni2 0.000 0.500 0.500 1
O4 0.754 0.275 0.496 1
O5 0.220 0.752 0.004 1
O6 0.791 0.723 0.946 1
O7 0.209 0.277 0.054 1
Ni3 0.500 0.500 0.500 1
Li2 0.500 0.000 0.000 1
Ni4 0.000 0.000 0.000 1
O8 0.246 0.725 0.504 1
Li3 0.000 0.000 0.500 1
```

Summary:
Energy of formation from the pure elements ... -21.96 eV per formula unit
Magnetization ... 3.00 Bohr magnetons per cell
VASP energy ... -124.830 eV per cell
Space-group type ... C2/m, No. 12